Record 1
First-principles (PBE) data for a relaxed Al6CuP4H16O28 crystal, as listed in Materials Project.

Lattice parameters (Å, degrees): 7.472 7.713 10.066 68.62 69.28 65.09
Space group P-1 (No. 2)
One atom of each set of equivalent atoms:
Al1 0.214 0.321 0.248 (multiplicity 2)
Al2 0.253 0.685 0.273 (multiplicity 2)
Al3 0.255 0.998 0.755 (multiplicity 2)
Cu1 0.500 0.500 0.000 (multiplicity 1)
P1 0.152 0.111 0.058 (multiplicity 2)
P2 0.341 0.888 0.456 (multiplicity 2)
H1 0.082 0.221 0.569 (multiplicity 2)
H2 0.112 0.417 0.684 (multiplicity 2)
H3 0.149 0.680 0.052 (multiplicity 2)
H4 0.152 0.622 0.591 (multiplicity 2)
H5 0.355 0.335 0.435 (multiplicity 2)
H6 0.359 0.555 0.748 (multiplicity 2)
H7 0.360 0.335 0.837 (multiplicity 2)
H8 0.480 0.847 0.914 (multiplicity 2)
O1 0.037 0.211 0.675 (multiplicity 2)
O2 0.076 0.867 0.897 (multiplicity 2)
O3 0.078 0.555 0.687 (multiplicity 2)
O4 0.182 0.271 0.095 (multiplicity 2)
O5 0.201 0.097 0.394 (multiplicity 2)
O6 0.226 0.143 0.888 (multiplicity 2)
O7 0.232 0.583 0.123 (multiplicity 2)
O8 0.265 0.425 0.369 (multiplicity 2)
O9 0.285 0.729 0.432 (multiplicity 2)
O10 0.286 0.905 0.130 (multiplicity 2)
O11 0.307 0.846 0.624 (multiplicity 2)
O12 0.434 0.136 0.619 (multiplicity 2)
O13 0.438 0.427 0.804 (multiplicity 2)
O14 0.485 0.782 0.844 (multiplicity 2)

Calculated values
**Final energy**: -6.28 eV per atom
**Crystal system**: triclinic
**Calculated density**: 2.84 Mg/m³

Record 2
First-principles (PBE) data for a relaxed AlCu2SbH12O12 crystal, as listed in Materials Project.

Lattice parameters (Å, degrees): 9.209 9.249 9.744 90.10 90.14 119.05
Space group P1 (No. 1)
One atom of each set of equivalent atoms:
Al1 0.000 0.000 0.000 (multiplicity 1)
Al2 0.333 0.662 0.991 (multiplicity 1)
Al3 0.667 0.327 0.006 (multiplicity 1)
Cu1 0.014 0.669 0.005 (multiplicity 1)
Cu2 0.327 0.337 0.001 (multiplicity 1)
Cu3 0.341 0.011 0.994 (multiplicity 1)
Cu4 0.660 0.984 0.992 (multiplicity 1)
Cu5 0.672 0.655 0.001 (multiplicity 1)
Cu6 0.987 0.324 0.996 (multiplicity 1)
Sb1 0.005 0.995 0.500 (multiplicity 1)
Sb2 0.322 0.658 0.484 (multiplicity 1)
Sb3 0.668 0.350 0.509 (multiplicity 1)
H1 0.051 0.191 0.792 (multiplicity 1)
H2 0.052 0.424 0.383 (multiplicity 1)
H3 0.096 0.801 0.384 (multiplicity 1)
H4 0.131 0.598 0.793 (multiplicity 1)
H5 0.144 0.959 0.794 (multiplicity 1)
H6 0.154 0.986 0.607 (multiplicity 1)
H7 0.160 0.762 0.614 (multiplicity 1)
H8 0.185 0.271 0.384 (multiplicity 1)
H9 0.198 0.136 0.203 (multiplicity 1)
H10 0.208 0.457 0.197 (multiplicity 1)
H11 0.219 0.389 0.609 (multiplicity 1)
H12 0.247 0.781 0.198 (multiplicity 1)
H13 0.377 0.181 0.396 (multiplicity 1)
H14 0.389 0.524 0.790 (multiplicity 1)
H15 0.435 0.942 0.346 (multiplicity 1)
H16 0.440 0.394 0.617 (multiplicity 1)
H17 0.462 0.852 0.785 (multiplicity 1)
H18 0.467 0.263 0.801 (multiplicity 1)
H19 0.531 0.735 0.197 (multiplicity 1)
H20 0.552 0.076 0.200 (multiplicity 1)
H21 0.565 0.622 0.387 (multiplicity 1)
H22 0.595 0.826 0.607 (multiplicity 1)
H23 0.608 0.064 0.601 (multiplicity 1)
H24 0.608 0.465 0.210 (multiplicity 1)
H25 0.728 0.930 0.389 (multiplicity 1)
H26 0.747 0.216 0.792 (multiplicity 1)
H27 0.792 0.536 0.806 (multiplicity 1)
H28 0.796 0.862 0.797 (multiplicity 1)
H29 0.798 0.631 0.391 (multiplicity 1)
H30 0.808 0.724 0.617 (multiplicity 1)
H31 0.815 0.225 0.385 (multiplicity 1)
H32 0.859 0.056 0.202 (multiplicity 1)
H33 0.860 0.387 0.210 (multiplicity 1)
H34 0.914 0.189 0.608 (multiplicity 1)
H35 0.946 0.558 0.620 (multiplicity 1)
H36 0.952 0.809 0.204 (multiplicity 1)
O1 0.018 0.184 0.620 (multiplicity 1)
O2 0.071 0.196 0.893 (multiplicity 1)
O3 0.127 0.575 0.893 (multiplicity 1)
O4 0.127 0.929 0.890 (multiplicity 1)
O5 0.147 0.650 0.622 (multiplicity 1)
O6 0.171 0.453 0.371 (multiplicity 1)
O7 0.186 0.163 0.379 (multiplicity 1)
O8 0.201 0.125 0.102 (multiplicity 1)
O9 0.217 0.457 0.095 (multiplicity 1)
O10 0.243 0.779 0.094 (multiplicity 1)
O11 0.267 0.798 0.371 (multiplicity 1)
O12 0.330 0.490 0.614 (multiplicity 1)
O13 0.416 0.542 0.890 (multiplicity 1)
O14 0.448 0.860 0.886 (multiplicity 1)
O15 0.461 0.244 0.903 (multiplicity 1)
O16 0.489 0.320 0.638 (multiplicity 1)
O17 0.493 0.837 0.611 (multiplicity 1)
O18 0.495 0.216 0.369 (multiplicity 1)
O19 0.514 0.694 0.367 (multiplicity 1)
O20 0.536 0.746 0.094 (multiplicity 1)
O21 0.554 0.110 0.088 (multiplicity 1)
O22 0.557 0.030 0.324 (multiplicity 1)
O23 0.582 0.445 0.110 (multiplicity 1)
O24 0.682 0.535 0.390 (multiplicity 1)
O25 0.694 0.180 0.620 (multiplicity 1)
O26 0.763 0.225 0.893 (multiplicity 1)
O27 0.784 0.538 0.909 (multiplicity 1)
O28 0.792 0.873 0.899 (multiplicity 1)
O29 0.811 0.833 0.621 (multiplicity 1)
O30 0.827 0.527 0.637 (multiplicity 1)
O31 0.843 0.020 0.378 (multiplicity 1)
O32 0.843 0.343 0.386 (multiplicity 1)
O33 0.866 0.408 0.109 (multiplicity 1)
O34 0.871 0.074 0.101 (multiplicity 1)
O35 0.932 0.803 0.103 (multiplicity 1)
O36 0.988 0.809 0.381 (multiplicity 1)

Calculated values
**Final energy**: -5.26 eV per atom
**Crystal system**: triclinic
**Calculated density**: 3.30 Mg/m³

Record 3
First-principles (PBE) data for a relaxed HfAlCu crystal, as listed in Materials Project.

Lattice parameters (Å, degrees): 8.325 5.243 8.879 90.00 90.00 90.00
Space group Amm2 (No. 38)
One atom of each set of equivalent atoms:
Hf1 0.182 0.000 0.000 (multiplicity 4)
Hf2 0.304 0.000 0.332 (multiplicity 4)
Al1 0.238 0.000 0.670 (multiplicity 4)
Al2 0.500 0.243 0.075 (multiplicity 4)
Cu1 0.000 0.000 0.494 (multiplicity 2)
Cu2 0.000 0.240 0.252 (multiplicity 4)
Cu3 0.500 0.000 0.831 (multiplicity 2)

Calculated values
**Final energy**: -6.27 eV per atom
**Crystal system**: orthorhombic
**Calculated density**: 9.22 Mg/m³

Record 4
First-principles (PBE) data for a relaxed HoAl8Cu4 crystal, as listed in Materials Project.

Lattice parameters (Å, degrees): 8.786 8.786 5.101 90.00 90.00 90.00
Space group I4/mmm (No. 139)
One atom of each set of equivalent atoms:
Ho1 0.000 0.000 0.000 (multiplicity 2)
Al1 0.000 0.217 0.500 (multiplicity 8)
Al2 0.000 0.348 0.000 (multiplicity 8)
Cu1 0.250 0.250 0.250 (multiplicity 8)

Calculated values
**Final energy**: -4.22 eV per atom
**Crystal system**: tetragonal
**Calculated density**: 5.35 Mg/m³

Record 5
First-principles (PBE) data for a relaxed HoAlCu4 crystal, as listed in Materials Project.

Lattice parameters (Å, degrees): 5.1593 5.1593 4.0080 90.00 90.00 120.00
Space group P-6m2 (No. 187)
One atom of each set of equivalent atoms:
Ho1 0.0000 0.0000 0.0000 (multiplicity 1)
Al1 0.3333 0.6667 0.0000 (multiplicity 1)
Cu1 0.5012 0.0023 0.5000 (multiplicity 3)
Cu2 0.6667 0.3333 0.0000 (multiplicity 1)

Calculated values
**Final energy**: -4.37 eV per atom
**Crystal system**: hexagonal
**Calculated density**: 8.02 Mg/m³

Record 6
First-principles (PBE) data for a relaxed HoAl3Cu crystal, as listed in Materials Project.

Lattice parameters (Å, degrees): 4.131 4.131 10.683 90.00 90.00 90.00
Space group I4mm (No. 107)
One atom of each set of equivalent atoms:
Ho1 0.000 0.000 0.000 (multiplicity 2)
Al1 0.000 0.000 0.594 (multiplicity 2)
Al2 0.000 0.500 0.253 (multiplicity 4)
Cu1 0.000 0.000 0.375 (multiplicity 2)

Calculated values
**Final energy**: -4.41 eV per atom
**Crystal system**: tetragonal
**Calculated density**: 5.64 Mg/m³

Record 7
First-principles (PBE) data for a relaxed HoAl6Cu6 crystal, as listed in Materials Project.

Lattice parameters (Å, degrees): 5.095 8.589 8.672 90.00 90.00 90.00
Space group Immm (No. 71)
One atom of each set of equivalent atoms:
Ho1 0.000 0.000 0.000 (multiplicity 2)
Al1 0.000 0.000 0.349 (multiplicity 4)
Al2 0.000 0.345 0.000 (multiplicity 4)
Al3 0.000 0.500 0.291 (multiplicity 4)
Cu1 0.000 0.275 0.500 (multiplicity 4)
Cu2 0.250 0.250 0.250 (multiplicity 8)

Calculated values
**Final energy**: -4.32 eV per atom
**Crystal system**: orthorhombic
**Calculated density**: 6.20 Mg/m³

Record 8
First-principles (PBE) data for a relaxed AlInCuO4 crystal, as listed in Materials Project.

Lattice parameters (Å, degrees): 3.3504 3.3504 24.8898 90.00 90.00 120.00
Space group R3m (No. 160, hexagonal axes)
One atom of each set of equivalent atoms:
Al1 0.0000 0.0000 0.0000 (multiplicity 3)
In1 0.0000 0.0000 0.7869 (multiplicity 3)
Cu1 0.0000 0.0000 0.5751 (multiplicity 3)
O1 0.0000 0.0000 0.0740 (multiplicity 3)
O2 0.0000 0.0000 0.4947 (multiplicity 3)
O3 0.0000 0.0000 0.6642 (multiplicity 3)
O4 0.0000 0.0000 0.9249 (multiplicity 3)

Calculated values
**Final energy**: -6.05 eV per atom
**Crystal system**: trigonal
**Calculated density**: 5.55 Mg/m³

Record 9
First-principles (PBE) data for a relaxed Al4InCuS8 crystal, as listed in Materials Project.

Lattice parameters (Å, degrees): 7.1720 7.1720 17.8011 90.00 90.00 120.00
Space group R3m (No. 160, hexagonal axes)
One atom of each set of equivalent atoms:
Al1 0.0000 0.0000 0.0000 (multiplicity 3)
Al2 0.0194 0.5097 0.1269 (multiplicity 9)
In1 0.0000 0.0000 0.6199 (multiplicity 3)
Cu1 0.0000 0.0000 0.2509 (multiplicity 3)
S1 0.0000 0.0000 0.3815 (multiplicity 3)
S2 0.0000 0.0000 0.8674 (multiplicity 3)
S3 0.0121 0.5060 0.3828 (multiplicity 9)
S4 0.1705 0.3410 0.2000 (multiplicity 9)

Calculated values
**Final energy**: -4.79 eV per atom
**Crystal system**: trigonal
**Calculated density**: 3.41 Mg/m³

Record 10
First-principles (PBE) data for a relaxed AlInCu2Se4 crystal, as listed in Materials Project.

Lattice parameters (Å, degrees): 5.761 5.761 11.437 90.00 90.00 90.00
Space group I-4 (No. 82)
One atom of each set of equivalent atoms:
Al1 0.000 0.000 0.000 (multiplicity 2)
In1 0.000 0.500 0.250 (multiplicity 2)
Cu1 0.000 0.000 0.500 (multiplicity 2)
Cu2 0.000 0.500 0.750 (multiplicity 2)
Se1 0.233 0.263 0.882 (multiplicity 8)

Calculated values
**Final energy**: -4.11 eV per atom
**Crystal system**: tetragonal
**Calculated density**: 5.12 Mg/m³

Record 11
First-principles (PBE) data for a relaxed La2Al3Cu7 crystal, as listed in Materials Project.

Lattice parameters (Å, degrees): 5.265 4.193 9.075 90.00 90.59 90.00
Space group P2/m (No. 10)
One atom of each set of equivalent atoms:
La1 0.250 0.000 0.249 (multiplicity 2)
Al1 0.245 0.500 0.755 (multiplicity 2)
Al2 0.500 0.500 0.500 (multiplicity 1)
Cu1 0.000 0.500 0.000 (multiplicity 1)
Cu2 0.000 0.500 0.500 (multiplicity 1)
Cu3 0.249 0.000 0.583 (multiplicity 2)
Cu4 0.250 0.000 0.917 (multiplicity 2)
Cu5 0.500 0.500 0.000 (multiplicity 1)

Calculated values
**Final energy**: -4.48 eV per atom
**Crystal system**: monoclinic
**Calculated density**: 6.66 Mg/m³

Record 12
First-principles (PBE) data for a relaxed LaAl3Cu crystal, as listed in Materials Project.

Lattice parameters (Å, degrees): 4.310 4.310 10.716 90.00 90.00 90.00
Space group I4mm (No. 107)
One atom of each set of equivalent atoms:
La1 0.000 0.000 0.000 (multiplicity 2)
Al1 0.000 0.000 0.405 (multiplicity 2)
Al2 0.000 0.500 0.249 (multiplicity 4)
Cu1 0.000 0.000 0.633 (multiplicity 2)

Calculated values
**Final energy**: -4.53 eV per atom
**Crystal system**: tetragonal
**Calculated density**: 4.73 Mg/m³